Computed, not measured: an optimized crystal structure of PrInNi2 at the meta-GGA r2SCAN level of DFT.

## Properties
The energy of formation is -1.6 eV/f.u. Its crystal system is orthorhombic. The magnetization is 0.0000 μB/atom.

CIF file:
```
data_PrInNi2
_chemical_formula_sum 'Pr2 In2 Ni4'
_cell_length_a 5.2094
_cell_length_b 4.0617
_cell_length_c 7.1441
_cell_angle_alpha 90.00
_cell_angle_beta 90.00
_cell_angle_gamma 90.00
_symmetry_space_group_name_H-M 'P m m a'
_symmetry_Int_Tables_number 51
loop_
_symmetry_equiv_pos_as_xyz
'x,y,z'
'-x,-y,-z'
'-x+1/2,-y,z'
'x+1/2,y,-z'
'x+1/2,-y,-z'
'-x+1/2,y,z'
'-x,y,-z'
'x,-y,z'
loop_
_atom_site_label
_atom_site_fract_x
_atom_site_fract_y
_atom_site_fract_z
Pr1 0.2500 0.0000 0.2253
In1 0.2500 0.5000 0.8382
Ni1 0.0000 0.5000 0.5000
Ni2 0.2500 0.0000 0.6048
```